1.
Here is an optimized crystal structure of MgMn2B8O14 from the Materials Project. Energies are from GGA+U.

Properties
Its theoretical density is 3.58 g/cm3. Its offset from the most stable computed form is 0.138 eV per atom.

Cell lengths 5.237, 6.605, 6.605 Å; angles 115.55, 90.00, 90.00 degrees
Element x y z (fractional)
B (0.992, 0.286, 0.717)
B (0.750, 0.114, 0.346)
B (0.508, 0.286, 0.717)
B (0.750, 0.346, 0.114)
B (0.508, 0.717, 0.286)
B (0.250, 0.668, 0.922)
B (0.992, 0.717, 0.286)
B (0.250, 0.922, 0.668)
O (0.522, 0.190, 0.475)
O (0.750, 0.243, 0.821)
O (0.750, 0.138, 0.138)
O (0.471, 0.809, 0.531)
O (0.250, 0.869, 0.869)
O (0.250, 0.178, 0.764)
O (0.750, 0.821, 0.243)
O (0.471, 0.531, 0.809)
O (0.522, 0.475, 0.190)
O (0.029, 0.809, 0.531)
O (0.250, 0.764, 0.178)
O (0.978, 0.475, 0.190)
O (0.029, 0.531, 0.809)
O (0.978, 0.190, 0.475)
Mn (0.250, 0.178, 0.178)
Mn (0.750, 0.758, 0.758)
Mg (0.250, 0.522, 0.522)

2.
Here is an optimized crystal structure of Mg14MnBO16 from the Materials Project. Energies are from GGA+U.

Properties
Its theoretical density is 3.55 g/cm3. Its offset from the most stable computed form is 0.004 eV per atom.

Cell lengths 8.534, 8.534, 4.249 Å; angles 90.00, 90.00, 90.00 degrees
Element x y z (fractional)
Mg (0.253, 0.253, 0.000)
Mg (0.252, 0.000, 0.500)
Mg (0.500, 0.747, 0.500)
Mg (0.500, 0.253, 0.500)
Mg (0.747, 0.747, 0.000)
Mg (0.747, 0.253, 0.000)
Mg (0.000, 0.748, 0.500)
Mg (0.748, 0.000, 0.500)
Mg (0.000, 0.252, 0.500)
Mg (0.747, 0.500, 0.500)
Mg (0.000, 0.500, 0.000)
Mg (0.500, 0.000, 0.000)
Mg (0.253, 0.747, 0.000)
Mg (0.253, 0.500, 0.500)
O (0.250, 0.250, 0.500)
O (0.500, 0.500, 0.500)
O (0.750, 0.750, 0.500)
O (0.000, 0.257, 0.000)
O (0.500, 0.000, 0.500)
O (0.000, 0.500, 0.500)
O (0.500, 0.253, 0.000)
O (0.257, 0.000, 0.000)
O (0.253, 0.500, 0.000)
O (0.743, 0.000, 0.000)
O (0.750, 0.250, 0.500)
O (0.000, 0.000, 0.500)
O (0.500, 0.747, 0.000)
O (0.000, 0.743, 0.000)
O (0.250, 0.750, 0.500)
O (0.747, 0.500, 0.000)
Mn (0.000, 0.000, 0.000)
B (0.500, 0.500, 0.000)

3.
Here is an optimized crystal structure of MgMn2B8O14 from the Materials Project. Energies are from GGA+U.

Properties
Its theoretical density is 2.92 g/cm3. Its offset from the most stable computed form is 0.056 eV per atom.

Cell lengths 5.075, 7.209, 7.209 Å; angles 106.71, 89.25, 89.25 degrees
Element x y z (fractional)
O (0.742, 0.224, 0.797)
O (0.994, 0.506, 0.215)
O (0.523, 0.501, 0.220)
O (0.778, 0.217, 0.213)
O (0.477, 0.780, 0.499)
O (0.008, 0.496, 0.784)
O (0.522, 0.225, 0.496)
O (0.222, 0.787, 0.783)
O (0.478, 0.504, 0.775)
O (0.006, 0.785, 0.494)
O (0.748, 0.800, 0.219)
O (0.258, 0.203, 0.776)
O (0.992, 0.216, 0.504)
O (0.252, 0.781, 0.200)
B (0.500, 0.284, 0.716)
B (0.500, 0.728, 0.272)
B (0.763, 0.415, 0.206)
B (0.000, 0.276, 0.724)
B (0.762, 0.204, 0.407)
B (0.237, 0.794, 0.585)
B (0.238, 0.593, 0.796)
B (0.000, 0.730, 0.270)
Mg (0.500, 0.052, 0.948)
Mn (0.747, 0.705, 0.699)
Mn (0.253, 0.301, 0.295)

4.
Here is an optimized crystal structure of MgMn2B8O14 from the Materials Project. Energies are from GGA+U.

Properties
Its theoretical density is 2.58 g/cm3. Its offset from the most stable computed form is 0.000 eV per atom.

Cell lengths 5.150, 9.083, 6.392 Å; angles 107.14, 90.00, 90.00 degrees
Element x y z (fractional)
B (0.250, 0.614, 0.895)
B (0.489, 0.358, 0.769)
B (0.750, 0.390, 0.133)
B (0.250, 0.741, 0.605)
B (0.515, 0.643, 0.259)
B (0.011, 0.358, 0.769)
B (0.985, 0.643, 0.259)
B (0.750, 0.271, 0.426)
O (0.750, 0.332, 0.880)
O (0.981, 0.479, 0.221)
O (0.750, 0.248, 0.200)
O (0.250, 0.682, 0.151)
O (0.483, 0.724, 0.502)
O (0.750, 0.703, 0.184)
O (0.250, 0.766, 0.834)
O (0.017, 0.724, 0.502)
O (0.982, 0.287, 0.532)
O (0.519, 0.479, 0.221)
O (0.518, 0.287, 0.532)
O (0.478, 0.530, 0.811)
O (0.022, 0.530, 0.811)
O (0.250, 0.305, 0.848)
Mn (0.250, 0.282, 0.217)
Mn (0.750, 0.686, 0.759)
Mg (0.250, 0.949, 0.131)

5.
Here is an optimized crystal structure of Mg14MnBO16 from the Materials Project. Energies are from GGA+U.

Properties
Its theoretical density is 3.56 g/cm3. Its offset from the most stable computed form is 0.000 eV per atom.

Cell lengths 4.243, 8.485, 8.566 Å; angles 90.00, 90.00, 90.00 degrees
Element x y z (fractional)
Mg (0.000, 0.254, 0.249)
Mg (0.000, 0.746, 0.751)
Mg (0.500, 0.257, 0.000)
Mg (0.000, 0.254, 0.751)
Mg (0.500, 0.251, 0.500)
Mg (0.500, 0.500, 0.754)
Mg (0.500, 0.743, 0.000)
Mg (0.000, 0.500, 0.500)
Mg (0.000, 0.746, 0.249)
Mg (0.500, 0.749, 0.500)
Mg (0.500, 0.000, 0.252)
Mg (0.500, 0.500, 0.246)
Mg (0.000, 0.000, 0.500)
Mg (0.500, 0.000, 0.748)
O (0.000, 0.749, 0.500)
O (0.500, 0.250, 0.248)
O (0.000, 0.500, 0.251)
O (0.500, 0.000, 0.000)
O (0.000, 0.500, 0.749)
O (0.500, 0.500, 0.500)
O (0.000, 0.000, 0.744)
O (0.500, 0.000, 0.500)
O (0.500, 0.250, 0.752)
O (0.500, 0.750, 0.248)
O (0.500, 0.750, 0.752)
O (0.000, 0.734, 0.000)
O (0.500, 0.500, 0.000)
O (0.000, 0.251, 0.500)
O (0.000, 0.000, 0.256)
O (0.000, 0.266, 0.000)
B (0.000, 0.500, 0.000)
Mn (0.000, 0.000, 0.000)

6.
Here is an optimized crystal structure of MgVBO4 from the Materials Project. Energies are from GGA+U.

Properties
Its theoretical density is 3.14 g/cm3.

Cell lengths 4.757, 4.863, 4.757 Å; angles 60.72, 90.00, 119.28 degrees
Element x y z (fractional)
O (0.688, 0.735, 0.444)
O (0.047, 0.735, 0.821)
O (0.821, 0.265, 0.688)
O (0.444, 0.265, 0.047)
B (0.750, 0.500, 0.750)
V (0.000, 0.000, 0.000)
Mg (0.500, 0.000, 0.500)

no.,total moment (μB per cell),energy (eV/atom),energy relative to the elements (eV/atom)
1,8.05,-7.5392,-2.352
2,5.00,-6.0223,-2.749
3,8.00,-7.6206,-2.434
4,10.00,-7.6769,-2.490
5,4.82,-6.0267,-2.753
6,2.00,-7.3984,-2.726